Record 1
Na2TcF6 | Materials Project | PBE | relaxed; DFT total energy = -5.111 eV per atom; ρ = 3581 kg/m³
1.0
2.8101 -4.8672 0.0000
2.8101 4.8672 0.0000
0.0000 0.0000 4.3727
Na Tc F
2 1 6
Direct
0.3333 0.6667 0.6869
0.6667 0.3333 0.3131
0.0000 0.0000 0.0000
0.3412 0.1706 0.7586
0.8294 0.6588 0.7586
0.8294 0.1706 0.7586
0.6588 0.8294 0.2414
0.1706 0.3412 0.2414
0.1706 0.8294 0.2414

Record 2
Na2ThF6 | Materials Project | PBE | relaxed; DFT total energy = -5.927 eV per atom; ρ = 4814 kg/m³
1.0
5.0485 -1.0100 4.4253
-0.0879 3.5157 5.8071
-3.4484 -4.3729 -3.8828
Na Th F
2 1 6
Direct
0.6729 0.6729 0.0000
0.3271 0.3271 0.0000
0.0000 0.0000 0.0000
0.7718 0.5000 0.2718
0.3992 0.1557 0.2436
0.0879 0.8443 0.2436
0.2282 0.5000 0.7282
0.9121 0.1557 0.7564
0.6008 0.8443 0.7564

Record 3
Na2ThF6 | Materials Project | PBE | relaxed; DFT total energy = -5.928 eV per atom; ρ = 4844 kg/m³
1.0
5.9742 3.4127 0.0000
-5.9742 3.4127 0.0000
0.0000 2.3015 6.5909
Na Th F
4 2 12
Direct
0.9188 0.0812 0.7500
0.2430 0.7570 0.7500
0.0812 0.9188 0.2500
0.7570 0.2430 0.2500
0.5927 0.4073 0.7500
0.4073 0.5927 0.2500
0.5305 0.6848 0.8842
0.2298 0.0669 0.8713
0.0669 0.2298 0.3713
0.8610 0.3713 0.8741
0.7702 0.9331 0.1287
0.6848 0.5305 0.3842
0.4695 0.3152 0.1158
0.3713 0.8610 0.3741
0.3152 0.4695 0.6158
0.1390 0.6287 0.1259
0.9331 0.7702 0.6287
0.6287 0.1390 0.6259

Copy entry 1 word for word.
Na2TcF6 | Materials Project | PBE | relaxed; DFT total energy = -5.111 eV per atom; ρ = 3581 kg/m³
1.0
2.8101 -4.8672 0.0000
2.8101 4.8672 0.0000
0.0000 0.0000 4.3727
Na Tc F
2 1 6
Direct
0.3333 0.6667 0.6869
0.6667 0.3333 0.3131
0.0000 0.0000 0.0000
0.3412 0.1706 0.7586
0.8294 0.6588 0.7586
0.8294 0.1706 0.7586
0.6588 0.8294 0.2414
0.1706 0.3412 0.2414
0.1706 0.8294 0.2414